# 1
{
  "formula": "KV5Se8",
  "functional": "meta-GGA r2SCAN",
  "state": "relaxed",
  "lattice": [[9.298, -1.850, 0.000], [9.298, 1.850, 0.000], [-2.243, 0.000, 8.678]],
  "species": ["K", "V", "V", "V", "V", "V", "Se", "Se", "Se", "Se", "Se", "Se", "Se", "Se"],
  "fractional_positions": [[0.000, 0.000, 0.000], [0.151, 0.151, 0.480], [0.213, 0.213, 0.850], [0.500, 0.500, 0.500], [0.787, 0.787, 0.150], [0.849, 0.849, 0.520], [0.074, 0.074, 0.667], [0.261, 0.261, 0.342], [0.338, 0.338, 0.012], [0.415, 0.415, 0.685], [0.585, 0.585, 0.315], [0.662, 0.662, 0.988], [0.739, 0.739, 0.658], [0.926, 0.926, 0.333]]
}

# 2
{
  "formula": "K3VSe4",
  "functional": "meta-GGA r2SCAN",
  "state": "relaxed",
  "lattice": [[-3.504, 3.504, 6.489], [3.504, -3.504, 6.489], [3.504, 3.504, -6.489]],
  "species": ["K", "K", "K", "V", "Se", "Se", "Se", "Se"],
  "fractional_positions": [[0.000, 0.000, 0.000], [0.250, 0.750, 0.500], [0.750, 0.250, 0.500], [0.500, 0.500, 0.000], [0.211, 0.211, 0.621], [0.410, 0.789, 0.000], [0.590, 0.590, 0.379], [0.789, 0.410, 0.000]]
}

| no. | energy of formation (eV per atom) |
| --- | --- |
| 1 | -1.061 |
| 2 | -1.123 |